VASP calculation (PBE) on a relaxed Zr4TiPb5O15 crystal.

a b c (Å): 4.2357 4.2357 20.7834
angles (deg): 89.35 89.35 88.93
Last column: nearest neighbours and their distance in Å.
Element x y z (fractional)
O1 0.4203 0.9560 0.8832  2 Zr 2.06-2.20
Pb1 0.0247 0.0247 0.6095  3 O 2.41
O2 0.4201 0.9550 0.4896  2 Zr 2.07-2.20
Zr1 0.4712 0.4712 0.8905  6 O 2.06-2.25
Zr2 0.4726 0.4726 0.2951  6 O 2.06-2.21
O3 0.4223 0.4223 0.5981  1 Ti 2.05, 1 Zr 2.09
O4 0.9571 0.4202 0.0862  2 Zr 2.06-2.21
O5 0.4202 0.9571 0.0862  2 Zr 2.06-2.21
O6 0.4285 0.4285 0.9890  2 Zr 2.06-2.19
Ti1 0.4942 0.4942 0.6940  4 O 1.88-2.05
Pb2 0.0255 0.0255 0.0018  3 O 2.45
Zr3 0.4729 0.4729 0.0932  6 O 2.06-2.21
Pb3 0.0254 0.0254 0.2036  3 O 2.44
O7 0.9325 0.4257 0.6895  1 Ti 1.88
O8 0.4260 0.4260 0.7834  1 Ti 1.90
O9 0.9567 0.4200 0.2875  2 Zr 2.06-2.21
Zr4 0.4699 0.4699 0.4981  6 O 2.07-2.20
O10 0.4274 0.4274 0.3936  2 Zr 2.06-2.19
O11 0.9560 0.4203 0.8832  2 Zr 2.06-2.20
O12 0.4200 0.9567 0.2875  2 Zr 2.06-2.21
Pb4 0.0287 0.0287 0.7969  3 O 2.41-2.47
O13 0.9550 0.4201 0.4896  2 Zr 2.07-2.20
Pb5 0.0256 0.0256 0.4054  3 O 2.44
O14 0.4257 0.9325 0.6895  1 Ti 1.88
O15 0.4266 0.4266 0.1914  2 Zr 2.06-2.18

## Properties
Total DFT energy (no corrections), eV per cell: -195.0
Energy above the most stable polymorph in this dataset, meV per atom: 0